[1]
# K9Co2S7, optimized geometry, DFT PBE
# Symmetry: Pa-3
# Energy of formation, eV per atom: -1.00
data_K9Co2S7
_symmetry_space_group_name_H-M 'P 1'
_symmetry_Int_Tables_number 1
_cell_length_a 12.824
_cell_length_b 12.824
_cell_length_c 12.824
_cell_angle_alpha 90.00
_cell_angle_beta 90.00
_cell_angle_gamma 90.00
loop_
_symmetry_equiv_pos_as_xyz
'x,y,z'
loop_
_atom_site_label
_atom_site_fract_x
_atom_site_fract_y
_atom_site_fract_z
K1 0.000 0.000 0.000
K2 0.000 0.500 0.500
K3 0.056 0.719 0.064
K4 0.056 0.781 0.564
K5 0.064 0.056 0.719
K6 0.064 0.444 0.219
K7 0.170 0.170 0.170
K8 0.170 0.330 0.670
K9 0.219 0.064 0.444
K10 0.219 0.436 0.944
K11 0.281 0.564 0.444
K12 0.281 0.936 0.944
K13 0.330 0.670 0.170
K14 0.330 0.830 0.670
K15 0.436 0.556 0.719
K16 0.436 0.944 0.219
K17 0.444 0.219 0.064
K18 0.444 0.281 0.564
K19 0.500 0.000 0.500
K20 0.500 0.500 0.000
K21 0.556 0.719 0.436
K22 0.556 0.781 0.936
K23 0.564 0.056 0.781
K24 0.564 0.444 0.281
K25 0.670 0.170 0.330
K26 0.670 0.330 0.830
K27 0.719 0.064 0.056
K28 0.719 0.436 0.556
K29 0.781 0.564 0.056
K30 0.781 0.936 0.556
K31 0.830 0.670 0.330
K32 0.830 0.830 0.830
K33 0.936 0.556 0.781
K34 0.936 0.944 0.281
K35 0.944 0.219 0.436
K36 0.944 0.281 0.936
Co1 0.186 0.686 0.814
Co2 0.186 0.814 0.314
Co3 0.314 0.186 0.814
Co4 0.314 0.314 0.314
Co5 0.686 0.686 0.686
Co6 0.686 0.814 0.186
Co7 0.814 0.186 0.686
Co8 0.814 0.314 0.186
S1 0.000 0.000 0.500
S2 0.000 0.500 0.000
S3 0.081 0.680 0.325
S4 0.081 0.820 0.825
S5 0.175 0.581 0.680
S6 0.175 0.919 0.180
S7 0.180 0.175 0.919
S8 0.180 0.325 0.419
S9 0.320 0.675 0.919
S10 0.320 0.825 0.419
S11 0.325 0.081 0.680
S12 0.325 0.419 0.180
S13 0.419 0.180 0.325
S14 0.419 0.320 0.825
S15 0.500 0.000 0.000
S16 0.500 0.500 0.500
S17 0.581 0.680 0.175
S18 0.581 0.820 0.675
S19 0.675 0.581 0.820
S20 0.675 0.919 0.320
S21 0.680 0.175 0.581
S22 0.680 0.325 0.081
S23 0.820 0.675 0.581
S24 0.820 0.825 0.081
S25 0.825 0.081 0.820
S26 0.825 0.419 0.320
S27 0.919 0.180 0.175
S28 0.919 0.320 0.675

---

[2]
# CeSe, optimized geometry, DFT PBE
# Symmetry: Pm-3m
# Energy of formation, eV per atom: -1.79
data_CeSe
_symmetry_space_group_name_H-M 'P 1'
_symmetry_Int_Tables_number 1
_cell_length_a 3.648
_cell_length_b 3.648
_cell_length_c 3.648
_cell_angle_alpha 90.00
_cell_angle_beta 90.00
_cell_angle_gamma 90.00
loop_
_symmetry_equiv_pos_as_xyz
'x,y,z'
loop_
_atom_site_label
_atom_site_fract_x
_atom_site_fract_y
_atom_site_fract_z
Ce1 0.000 0.000 0.000
Se1 0.500 0.500 0.500

---

[3]
# Sb3N5, optimized geometry, DFT PBE
# Energy of formation, eV per atom: 0.43
data_Sb3N5
_symmetry_space_group_name_H-M 'P 1'
_symmetry_Int_Tables_number 1
_cell_length_a 4.047
_cell_length_b 10.650
_cell_length_c 10.460
_cell_angle_alpha 90.00
_cell_angle_beta 90.00
_cell_angle_gamma 90.00
loop_
_symmetry_equiv_pos_as_xyz
'x,y,z'
loop_
_atom_site_label
_atom_site_fract_x
_atom_site_fract_y
_atom_site_fract_z
Sb1 0.000 0.817 0.250
Sb2 0.000 0.183 0.750
Sb3 0.500 0.317 0.250
Sb4 0.500 0.683 0.750
Sb5 0.000 0.136 0.436
Sb6 0.000 0.864 0.564
Sb7 0.000 0.136 0.064
Sb8 0.000 0.864 0.936
Sb9 0.500 0.636 0.436
Sb10 0.500 0.364 0.564
Sb11 0.500 0.636 0.064
Sb12 0.500 0.364 0.936
N1 0.000 0.240 0.250
N2 0.000 0.760 0.750
N3 0.500 0.740 0.250
N4 0.500 0.260 0.750
N5 0.000 0.950 0.387
N6 0.000 0.050 0.613
N7 0.000 0.950 0.113
N8 0.000 0.050 0.887
N9 0.500 0.450 0.387
N10 0.500 0.550 0.613
N11 0.500 0.450 0.113
N12 0.500 0.550 0.887
N13 0.000 0.698 0.426
N14 0.000 0.302 0.574
N15 0.000 0.698 0.074
N16 0.000 0.302 0.926
N17 0.500 0.198 0.426
N18 0.500 0.802 0.574
N19 0.500 0.198 0.074
N20 0.500 0.802 0.926

---

[4]
# TmAu, optimized geometry, DFT PBE
# Symmetry: Cmcm
# Energy of formation, eV per atom: -0.91
data_TmAu
_symmetry_space_group_name_H-M 'P 1'
_symmetry_Int_Tables_number 1
_cell_length_a 5.770
_cell_length_b 5.770
_cell_length_c 4.639
_cell_angle_alpha 90.00
_cell_angle_beta 90.00
_cell_angle_gamma 143.15
loop_
_symmetry_equiv_pos_as_xyz
'x,y,z'
loop_
_atom_site_label
_atom_site_fract_x
_atom_site_fract_y
_atom_site_fract_z
Tm1 0.140 0.860 0.750
Tm2 0.860 0.140 0.250
Au1 0.411 0.589 0.750
Au2 0.589 0.411 0.250